The following is a GGA+U calculation of a relaxed MgV3O8 crystal, from the Materials Project.

Lattice parameters (Å, degrees): 6.833 6.833 13.956 81.45 81.45 78.98
Fractional coordinates of all 48 atoms:
1 V 0.734 0.235 0.888
2 O 0.754 0.572 0.307
3 O 0.194 0.306 0.988
4 O 0.012 0.830 0.351
5 Mg 0.851 0.713 0.855
6 O 0.833 0.343 0.158
7 O 0.246 0.428 0.693
8 O 0.402 0.910 0.358
9 O 0.910 0.402 0.858
10 V 0.829 0.328 0.354
11 V 0.672 0.171 0.146
12 O 0.167 0.657 0.842
13 O 0.170 0.988 0.149
14 O 0.508 0.333 0.847
15 Mg 0.713 0.851 0.355
16 V 0.651 0.787 0.634
17 O 0.830 0.012 0.851
18 O 0.343 0.833 0.658
19 O 0.806 0.694 0.012
20 V 0.765 0.266 0.612
21 O 0.817 0.327 0.480
22 Mg 0.149 0.287 0.145
23 O 0.917 0.752 0.688
24 O 0.333 0.508 0.347
25 V 0.213 0.349 0.866
26 V 0.171 0.672 0.646
27 O 0.306 0.194 0.488
28 O 0.673 0.183 0.020
29 O 0.083 0.248 0.312
30 Mg 0.287 0.149 0.645
31 O 0.694 0.806 0.512
32 V 0.235 0.734 0.388
33 O 0.183 0.673 0.520
34 V 0.266 0.765 0.112
35 O 0.327 0.817 0.980
36 O 0.657 0.167 0.342
37 O 0.428 0.246 0.193
38 O 0.598 0.090 0.642
39 O 0.667 0.492 0.653
40 O 0.988 0.170 0.649
41 O 0.492 0.667 0.153
42 O 0.090 0.598 0.142
43 V 0.787 0.651 0.134
44 O 0.248 0.083 0.812
45 O 0.572 0.754 0.807
46 O 0.752 0.917 0.188
47 V 0.328 0.829 0.854
48 V 0.349 0.213 0.366

Results
E_form: -2913 kJ/mol of formula units
Crystal system: monoclinic
Excess energy over the best structure of this formula in the dataset: 1 meV per atom